1.
! NaTi2O4 (meta-GGA r2SCAN, relaxed); values from VASP
&SYSTEM
  ibrav = 0, nat = 28, ntyp = 3
/
ATOMIC_SPECIES
Na 22.99 Na.upf
Ti 47.87 Ti.upf
O 16.00 O.upf
CELL_PARAMETERS angstrom
2.946 0.000 0.000
0.000 9.244 0.000
0.000 0.000 10.739
ATOMIC_POSITIONS crystal
Na 0.250 0.743 0.154
Na 0.750 0.257 0.846
Na 0.250 0.243 0.346
Na 0.750 0.757 0.654
Ti 0.750 0.935 0.889
Ti 0.250 0.065 0.111
Ti 0.750 0.435 0.611
Ti 0.250 0.565 0.389
Ti 0.250 0.582 0.897
Ti 0.750 0.418 0.103
Ti 0.250 0.082 0.603
Ti 0.750 0.918 0.397
O 0.750 0.920 0.070
O 0.250 0.080 0.930
O 0.750 0.420 0.430
O 0.250 0.580 0.570
O 0.750 0.521 0.781
O 0.250 0.479 0.219
O 0.750 0.021 0.719
O 0.250 0.979 0.281
O 0.750 0.613 0.023
O 0.250 0.387 0.977
O 0.750 0.113 0.477
O 0.250 0.887 0.523
O 0.250 0.791 0.848
O 0.750 0.209 0.152
O 0.250 0.291 0.652
O 0.750 0.709 0.348
! Calculated total energy: -298.21 eV for the cell shown
! Calculated volume: 292.4 Å³ per cell
! Energy above the lowest structure with this stoichiometry: 0 meV/atom
! SG: Pnma
! Magnetic moment: 0.14 μB per atom
! DFT formation energy: -21.22 eV per formula unit


2.
! Na6Ti2O7 (meta-GGA r2SCAN, relaxed); values from VASP
&SYSTEM
  ibrav = 0, nat = 30, ntyp = 3
/
ATOMIC_SPECIES
Na 22.99 Na.upf
Ti 47.87 Ti.upf
O 16.00 O.upf
CELL_PARAMETERS angstrom
-2.630 -1.543 -4.232
6.165 -6.113 -1.603
-1.349 -9.230 4.202
ATOMIC_POSITIONS crystal
Na 0.232 0.336 0.879
Na 0.775 0.573 0.862
Na 0.802 0.065 0.847
Na 0.775 0.427 0.638
Na 0.232 0.664 0.621
Na 0.802 0.935 0.653
Na 0.198 0.065 0.347
Na 0.768 0.336 0.379
Na 0.225 0.573 0.362
Na 0.198 0.935 0.153
Na 0.225 0.427 0.138
Na 0.768 0.664 0.121
Ti 0.305 0.787 0.896
Ti 0.305 0.213 0.604
Ti 0.695 0.787 0.396
Ti 0.695 0.213 0.104
O 0.788 0.275 0.914
O 0.230 0.610 0.860
O 0.647 0.809 0.887
O 0.230 0.390 0.640
O 0.169 0.000 0.750
O 0.788 0.725 0.586
O 0.647 0.191 0.613
O 0.353 0.809 0.387
O 0.212 0.275 0.414
O 0.831 0.000 0.250
O 0.770 0.610 0.360
O 0.353 0.191 0.113
O 0.770 0.390 0.140
O 0.212 0.725 0.086
! Calculated total energy: -251.34 eV for the cell shown
! Calculated volume: 418.8 Å³ per cell
! SG: P2/c
! Magnetic moment: 0.00 μB per atom
! DFT formation energy: -36.60 eV per formula unit


3.
! Na2TiO3 (meta-GGA r2SCAN, relaxed); values from VASP
&SYSTEM
  ibrav = 0, nat = 24, ntyp = 3
/
ATOMIC_SPECIES
Na 22.99 Na.upf
Ti 47.87 Ti.upf
O 16.00 O.upf
CELL_PARAMETERS angstrom
-4.923 1.056 1.679
2.599 -4.228 1.882
3.187 4.888 9.138
ATOMIC_POSITIONS crystal
Na 0.843 0.685 0.500
Na 0.000 0.500 0.000
Na 0.916 0.084 0.250
Na 0.315 0.157 0.000
Na 0.500 0.000 0.500
Na 0.685 0.843 0.000
Na 0.084 0.916 0.750
Na 0.157 0.315 0.500
Ti 0.749 0.251 0.750
Ti 0.583 0.417 0.250
Ti 0.417 0.583 0.750
Ti 0.251 0.749 0.250
O 0.950 0.744 0.147
O 0.673 0.504 0.852
O 0.881 0.426 0.352
O 0.496 0.327 0.648
O 0.744 0.950 0.647
O 0.426 0.881 0.852
O 0.574 0.119 0.148
O 0.256 0.050 0.353
O 0.504 0.673 0.352
O 0.119 0.574 0.648
O 0.327 0.496 0.148
O 0.050 0.256 0.853
! Calculated total energy: -216.15 eV for the cell shown
! Calculated volume: 260.7 Å³ per cell
! SG: C2/c
! Magnetic moment: 0.00 μB per atom
! DFT formation energy: -16.05 eV per formula unit


4.
! NaTi8O13 (meta-GGA r2SCAN, relaxed); values from VASP
&SYSTEM
  ibrav = 0, nat = 22, ntyp = 3
/
ATOMIC_SPECIES
Na 22.99 Na.upf
Ti 47.87 Ti.upf
O 16.00 O.upf
CELL_PARAMETERS angstrom
5.175 -3.861 0.002
5.175 3.861 0.002
2.291 0.000 6.036
ATOMIC_POSITIONS crystal
Na 0.500 0.500 0.500
Ti 0.683 0.125 0.950
Ti 0.950 0.683 0.125
Ti 0.125 0.950 0.683
Ti 0.317 0.875 0.050
Ti 0.050 0.317 0.875
Ti 0.875 0.050 0.317
Ti 0.271 0.271 0.271
Ti 0.729 0.729 0.729
O 0.000 0.000 0.000
O 0.173 0.268 0.577
O 0.577 0.173 0.268
O 0.268 0.577 0.173
O 0.827 0.732 0.423
O 0.423 0.827 0.732
O 0.732 0.423 0.827
O 0.356 0.206 0.952
O 0.952 0.356 0.206
O 0.206 0.952 0.356
O 0.644 0.794 0.048
O 0.048 0.644 0.794
O 0.794 0.048 0.644
! Calculated total energy: -252.62 eV for the cell shown
! Calculated volume: 241.2 Å³ per cell
! SG: R-3
! Magnetic moment: 0.04 μB per atom
! DFT formation energy: -67.91 eV per formula unit


5.
! Na2Ti12O25 (meta-GGA r2SCAN, relaxed); values from VASP
&SYSTEM
  ibrav = 0, nat = 39, ntyp = 3
/
ATOMIC_SPECIES
Na 22.99 Na.upf
Ti 47.87 Ti.upf
O 16.00 O.upf
CELL_PARAMETERS angstrom
3.734 0.000 0.000
0.000 9.311 0.028
0.000 3.993 13.918
ATOMIC_POSITIONS crystal
Na 0.500 0.290 0.959
Na 0.500 0.710 0.041
Ti 0.500 0.364 0.594
Ti 0.500 0.636 0.406
Ti 0.000 0.990 0.876
Ti 0.000 0.010 0.124
Ti 0.500 0.319 0.353
Ti 0.500 0.681 0.647
Ti 0.500 0.033 0.295
Ti 0.500 0.967 0.705
Ti 0.000 0.396 0.759
Ti 0.000 0.604 0.241
Ti 0.000 0.685 0.826
Ti 0.000 0.315 0.174
O 0.000 0.479 0.867
O 0.000 0.521 0.133
O 0.000 0.377 0.623
O 0.000 0.623 0.377
O 0.500 0.283 0.215
O 0.500 0.717 0.785
O 0.500 0.160 0.640
O 0.500 0.840 0.360
O 0.000 0.761 0.927
O 0.000 0.239 0.073
O 0.500 0.013 0.156
O 0.500 0.987 0.844
O 0.500 0.434 0.723
O 0.500 0.566 0.277
O 0.500 0.393 0.461
O 0.500 0.607 0.539
O 0.000 0.926 0.744
O 0.000 0.074 0.256
O 0.500 0.121 0.396
O 0.500 0.879 0.604
O 0.000 0.206 0.828
O 0.000 0.794 0.172
O 0.000 0.642 0.684
O 0.000 0.358 0.316
O 0.000 0.000 0.000
! Calculated total energy: -436.77 eV for the cell shown
! Calculated volume: 483.5 Å³ per cell
! SG: P2/m
! Magnetic moment: 0.00 μB per atom
! DFT formation energy: -125.08 eV per formula unit


6.
! NaTi2O4 (meta-GGA r2SCAN, relaxed); values from VASP
&SYSTEM
  ibrav = 0, nat = 14, ntyp = 3
/
ATOMIC_SPECIES
Na 22.99 Na.upf
Ti 47.87 Ti.upf
O 16.00 O.upf
CELL_PARAMETERS angstrom
0.000 4.322 4.322
4.322 0.000 4.322
4.322 4.322 0.000
ATOMIC_POSITIONS crystal
Na 0.750 0.750 0.750
Na 0.500 0.500 0.500
Ti 0.125 0.125 0.625
Ti 0.125 0.625 0.125
Ti 0.625 0.125 0.125
Ti 0.125 0.125 0.125
O 0.320 0.893 0.893
O 0.893 0.893 0.893
O 0.893 0.320 0.893
O 0.893 0.893 0.320
O 0.357 0.930 0.357
O 0.357 0.357 0.930
O 0.930 0.357 0.357
O 0.357 0.357 0.357
! Calculated total energy: -148.57 eV for the cell shown
! Calculated volume: 161.5 Å³ per cell
! Energy above the lowest structure with this stoichiometry: 38 meV/atom
! SG: Fd-3m
! Magnetic moment: 0.10 μB per atom
! DFT formation energy: -20.95 eV per formula unit


7.
! NaTiO2 (meta-GGA r2SCAN, relaxed); values from VASP
&SYSTEM
  ibrav = 0, nat = 4, ntyp = 3
/
ATOMIC_SPECIES
Na 22.99 Na.upf
Ti 47.87 Ti.upf
O 16.00 O.upf
CELL_PARAMETERS angstrom
5.469 -1.507 -0.008
5.469 1.507 -0.008
5.057 0.000 2.569
ATOMIC_POSITIONS crystal
Na 0.000 0.000 0.000
Ti 0.500 0.500 0.500
O 0.764 0.764 0.764
O 0.236 0.236 0.236
! Calculated total energy: -39.31 eV for the cell shown
! Calculated volume: 42.5 Å³ per cell
! SG: R-3m
! Magnetic moment: 0.25 μB per atom
! DFT formation energy: -10.86 eV per formula unit


8.
! Na5TlO4 (meta-GGA r2SCAN, relaxed); values from VASP
&SYSTEM
  ibrav = 0, nat = 80, ntyp = 3
/
ATOMIC_SPECIES
Na 22.99 Na.upf
Tl 204.38 Tl.upf
O 16.00 O.upf
CELL_PARAMETERS angstrom
-0.919 7.821 -7.214
2.852 -6.813 -7.750
-10.307 -2.601 -1.507
ATOMIC_POSITIONS crystal
Na 0.104 0.118 0.340
Na 0.604 0.882 0.160
Na 0.396 0.618 0.660
Na 0.896 0.382 0.840
Na 0.896 0.882 0.660
Na 0.396 0.118 0.840
Na 0.604 0.382 0.340
Na 0.104 0.618 0.160
Na 0.127 0.850 0.382
Na 0.627 0.150 0.118
Na 0.373 0.350 0.618
Na 0.873 0.650 0.882
Na 0.873 0.150 0.618
Na 0.373 0.850 0.882
Na 0.627 0.650 0.382
Na 0.127 0.350 0.118
Na 0.662 0.108 0.383
Na 0.162 0.892 0.117
Na 0.838 0.608 0.617
Na 0.338 0.392 0.883
Na 0.338 0.892 0.617
Na 0.838 0.108 0.883
Na 0.162 0.392 0.383
Na 0.662 0.608 0.117
Na 0.898 0.623 0.349
Na 0.398 0.377 0.151
Na 0.602 0.123 0.651
Na 0.102 0.877 0.849
Na 0.102 0.377 0.651
Na 0.602 0.623 0.849
Na 0.398 0.877 0.349
Na 0.898 0.123 0.151
Na 0.854 0.889 0.391
Na 0.354 0.111 0.109
Na 0.646 0.389 0.609
Na 0.146 0.611 0.891
Na 0.146 0.111 0.609
Na 0.646 0.889 0.891
Na 0.354 0.611 0.391
Na 0.854 0.389 0.109
Tl 0.883 0.349 0.386
Tl 0.383 0.651 0.114
Tl 0.617 0.849 0.614
Tl 0.117 0.151 0.886
Tl 0.117 0.651 0.614
Tl 0.617 0.349 0.886
Tl 0.383 0.151 0.386
Tl 0.883 0.849 0.114
O 0.520 0.250 0.494
O 0.020 0.750 0.006
O 0.980 0.750 0.506
O 0.480 0.250 0.994
O 0.480 0.750 0.506
O 0.980 0.250 0.994
O 0.020 0.250 0.494
O 0.520 0.750 0.006
O 0.760 0.252 0.254
O 0.260 0.748 0.246
O 0.740 0.752 0.746
O 0.240 0.248 0.754
O 0.240 0.748 0.746
O 0.740 0.252 0.754
O 0.260 0.248 0.254
O 0.760 0.752 0.246
O 0.999 0.460 0.255
O 0.499 0.540 0.245
O 0.501 0.960 0.745
O 0.001 0.040 0.755
O 0.001 0.540 0.745
O 0.501 0.460 0.755
O 0.499 0.040 0.255
O 0.999 0.960 0.245
O 0.756 0.492 0.459
O 0.256 0.508 0.041
O 0.744 0.992 0.541
O 0.244 0.008 0.959
O 0.244 0.508 0.541
O 0.744 0.492 0.959
O 0.256 0.008 0.459
O 0.756 0.992 0.041
! Calculated total energy: -868.55 eV for the cell shown
! Calculated volume: 1227.5 Å³ per cell
! SG: Pbca
! Magnetic moment: 0.00 μB per atom
! DFT formation energy: -13.68 eV per formula unit


9.
! NaTlO (meta-GGA r2SCAN, relaxed); values from VASP
&SYSTEM
  ibrav = 0, nat = 6, ntyp = 3
/
ATOMIC_SPECIES
Na 22.99 Na.upf
Tl 204.38 Tl.upf
O 16.00 O.upf
CELL_PARAMETERS angstrom
1.742 -3.018 0.000
1.742 3.018 0.000
0.000 0.000 11.395
ATOMIC_POSITIONS crystal
Na 0.333 0.667 0.394
Na 0.667 0.333 0.894
Tl 0.667 0.333 0.616
Tl 0.333 0.667 0.116
O 0.000 0.000 0.490
O 0.000 0.000 0.990
! Calculated total energy: -131.93 eV for the cell shown
! Calculated volume: 119.8 Å³ per cell
! SG: P6_3mc
! Magnetic moment: 0.00 μB per atom
! DFT formation energy: -3.25 eV per formula unit


10.
! NaTmO2 (meta-GGA r2SCAN, relaxed); values from VASP
&SYSTEM
  ibrav = 0, nat = 16, ntyp = 3
/
ATOMIC_SPECIES
Na 22.99 Na.upf
Tm 168.93 Tm.upf
O 16.00 O.upf
CELL_PARAMETERS angstrom
0.109 1.574 -5.582
-0.292 -6.275 -3.616
-5.181 -2.414 1.563
ATOMIC_POSITIONS crystal
Na 0.806 0.389 0.056
Na 0.430 0.140 0.180
Na 0.570 0.860 0.820
Na 0.194 0.611 0.944
Tm 0.943 0.113 0.693
Tm 0.683 0.634 0.433
Tm 0.317 0.366 0.567
Tm 0.057 0.887 0.307
O 0.939 0.627 0.231
O 0.832 0.876 0.542
O 0.292 0.876 0.082
O 0.566 0.373 0.358
O 0.434 0.627 0.642
O 0.708 0.124 0.918
O 0.168 0.124 0.458
O 0.061 0.373 0.769
! Calculated total energy: -253.29 eV for the cell shown
! Calculated volume: 205.7 Å³ per cell
! Energy above the lowest structure with this stoichiometry: 0 meV/atom
! SG: C2/c
! Magnetic moment: 0.00 μB per atom
! DFT formation energy: -12.69 eV per formula unit


11.
! NaTmO2 (meta-GGA r2SCAN, relaxed); values from VASP
&SYSTEM
  ibrav = 0, nat = 4, ntyp = 3
/
ATOMIC_SPECIES
Na 22.99 Na.upf
Tm 168.93 Tm.upf
O 16.00 O.upf
CELL_PARAMETERS angstrom
-3.216 0.665 0.563
1.897 -3.028 4.555
-0.906 2.994 1.149
ATOMIC_POSITIONS crystal
Na 0.500 0.500 0.500
Tm 0.000 0.000 0.000
O 0.263 0.789 0.263
O 0.737 0.211 0.737
! Calculated total energy: -63.31 eV for the cell shown
! Calculated volume: 52.5 Å³ per cell
! Energy above the lowest structure with this stoichiometry: 4 meV/atom
! SG: R-3m
! Magnetic moment: 0.00 μB per atom
! DFT formation energy: -12.68 eV per formula unit


12.
! NaTmO2 (meta-GGA r2SCAN, relaxed); values from VASP
&SYSTEM
  ibrav = 0, nat = 8, ntyp = 3
/
ATOMIC_SPECIES
Na 22.99 Na.upf
Tm 168.93 Tm.upf
O 16.00 O.upf
CELL_PARAMETERS angstrom
-0.606 -0.908 5.825
-5.221 -2.295 1.610
4.107 -1.350 -4.054
ATOMIC_POSITIONS crystal
Na 0.250 0.750 0.500
Na 0.500 0.500 0.000
Tm 0.750 0.250 0.500
Tm 0.000 0.000 0.000
O 0.973 0.473 0.500
O 0.777 0.777 0.000
O 0.223 0.223 0.000
O 0.527 0.027 0.500
! Calculated total energy: -126.56 eV for the cell shown
! Calculated volume: 102.2 Å³ per cell
! Energy above the lowest structure with this stoichiometry: 11 meV/atom
! SG: I4_1/amd
! Magnetic moment: 0.00 μB per atom
! DFT formation energy: -12.65 eV per formula unit


> Look up the magnetic moment of the eleventh one.

0.00 μB per atom